[1]
# TbP2Ru2 | the Materials Project database | r²SCAN | optimized geometry
data_TbP2Ru2
_space_group_name_H-M_alt 'P 1'
_space_group_IT_number 1
_cell_length_a 4.038
_cell_length_b 4.038
_cell_length_c 5.566
_cell_angle_alpha 111.27
_cell_angle_beta 111.27
_cell_angle_gamma 90.00
loop_
_space_group_symop_operation_xyz
'x,y,z'
loop_
_atom_site_label
_atom_site_fract_x
_atom_site_fract_y
_atom_site_fract_z
Tb1 0.000 0.000 0.000
P1 0.374 0.374 0.748
P2 0.626 0.626 0.252
Ru1 0.750 0.250 0.500
Ru2 0.250 0.750 0.500
# DFT formation energy = -1.13 eV/atom
# SG = I4/mmm (139)
# ρ = 9.02 g cm⁻³



[2]
# ThP12Ru4 | the Materials Project database | r²SCAN | optimized geometry
data_ThP12Ru4
_space_group_name_H-M_alt 'P 1'
_space_group_IT_number 1
_cell_length_a 6.987
_cell_length_b 6.987
_cell_length_c 6.987
_cell_angle_alpha 109.47
_cell_angle_beta 109.47
_cell_angle_gamma 109.47
loop_
_space_group_symop_operation_xyz
'x,y,z'
loop_
_atom_site_label
_atom_site_fract_x
_atom_site_fract_y
_atom_site_fract_z
Th1 0.000 0.000 0.000
P1 0.856 0.644 0.500
P2 0.144 0.356 0.500
P3 0.144 0.644 0.788
P4 0.856 0.356 0.212
P5 0.644 0.500 0.856
P6 0.356 0.500 0.144
P7 0.644 0.788 0.144
P8 0.356 0.212 0.856
P9 0.500 0.856 0.644
P10 0.500 0.144 0.356
P11 0.212 0.856 0.356
P12 0.788 0.144 0.644
Ru1 0.500 0.500 0.500
Ru2 0.500 0.000 0.000
Ru3 0.000 0.500 0.000
Ru4 0.000 0.000 0.500
# DFT formation energy = -0.76 eV/atom
# SG = Im-3 (204)
# ρ = 6.38 g cm⁻³



[3]
# YP2Ru2 | the Materials Project database | r²SCAN | optimized geometry
data_YP2Ru2
_space_group_name_H-M_alt 'P 1'
_space_group_IT_number 1
_cell_length_a 4.036
_cell_length_b 4.036
_cell_length_c 5.562
_cell_angle_alpha 111.28
_cell_angle_beta 111.28
_cell_angle_gamma 90.00
loop_
_space_group_symop_operation_xyz
'x,y,z'
loop_
_atom_site_label
_atom_site_fract_x
_atom_site_fract_y
_atom_site_fract_z
Y1 0.000 0.000 0.000
P1 0.374 0.374 0.748
P2 0.626 0.626 0.252
Ru1 0.750 0.250 0.500
Ru2 0.250 0.750 0.500
# DFT formation energy = -1.12 eV/atom
# SG = I4/mmm (139)
# ρ = 7.54 g cm⁻³



[4]
# YbP2Ru2 | the Materials Project database | r²SCAN | optimized geometry
data_YbP2Ru2
_space_group_name_H-M_alt 'P 1'
_space_group_IT_number 1
_cell_length_a 5.479
_cell_length_b 5.479
_cell_length_c 5.479
_cell_angle_alpha 136.94
_cell_angle_beta 136.94
_cell_angle_gamma 62.53
loop_
_space_group_symop_operation_xyz
'x,y,z'
loop_
_atom_site_label
_atom_site_fract_x
_atom_site_fract_y
_atom_site_fract_z
Yb1 0.000 0.000 0.000
P1 0.377 0.377 0.000
P2 0.623 0.623 0.000
Ru1 0.250 0.750 0.500
Ru2 0.750 0.250 0.500
# DFT formation energy = -1.11 eV/atom
# SG = I4/mmm (139)
# ρ = 9.58 g cm⁻³